The following is a GGA-PBE calculation of a relaxed structure of RbB6H6, from the Materials Project database.

The space group is Fm-3 (No. 202) and the conventional cell measures 10.911, 10.911 and 10.911 Å, with angles of 90.00, 90.00 and 90.00 degrees. The asymmetric unit holds Rb at (0.250, 0.250, 0.250), B at (0.000, 0.132, 0.081) and H at (0.000, 0.227, 0.138).

Its MP2020-corrected energy is -5.1862 eV/atom. Its energy relative to the elements is -6.01 eV/f.u. As for the volume: 1298.8 Å³/cell.

The following is a GGA-PBE calculation of a relaxed structure of CeC, from the Materials Project database.

The space group is Fm-3m (No. 225) and the conventional cell measures 5.192, 5.192 and 5.192 Å, with angles of 90.00, 90.00 and 90.00 degrees. The asymmetric unit holds Ce at (0.000, 0.000, 0.000) and C at (0.000, 0.000, 0.500).

Its energy relative to the elements is -0.11 eV/f.u. Its total moment is 0.00 Bohr magnetons per cell. As for the volume: 140.0 Å³/cell.

> Which of these has the lowest energy relative to the elements?

RbB6H6

Repeat the second record exactly.
The following is a GGA-PBE calculation of a relaxed structure of CeC, from the Materials Project database.

The space group is Fm-3m (No. 225) and the conventional cell measures 5.192, 5.192 and 5.192 Å, with angles of 90.00, 90.00 and 90.00 degrees. The asymmetric unit holds Ce at (0.000, 0.000, 0.000) and C at (0.000, 0.000, 0.500).

Its energy relative to the elements is -0.11 eV/f.u. Its total moment is 0.00 Bohr magnetons per cell. As for the volume: 140.0 Å³/cell.

> What is the formula in the second record?

CeC

What did the second record say?
The following is a GGA-PBE calculation of a relaxed structure of CeC, from the Materials Project database.

The space group is Fm-3m (No. 225) and the conventional cell measures 5.192, 5.192 and 5.192 Å, with angles of 90.00, 90.00 and 90.00 degrees. The asymmetric unit holds Ce at (0.000, 0.000, 0.000) and C at (0.000, 0.000, 0.500).

Its energy relative to the elements is -0.11 eV/f.u. Its total moment is 0.00 Bohr magnetons per cell. As for the volume: 140.0 Å³/cell.